A plane-wave DFT calculation with PBE+U was carried out for a geometry-optimized Li2VP4H12O18 structure.

```
Li2VP4H12O18
1.0
8.141 0.000 0.000
0.000 11.543 0.000
-3.864 0.000 8.090
Li V P H O
4 2 8 24 36
Cartesian
-0.096 2.886 0.608 Li
0.453 8.657 3.307 Li
3.824 2.886 4.783 Li
4.373 8.657 7.482 Li
2.915 2.886 1.935 V
1.362 8.657 6.155 V
1.790 5.924 1.160 P
1.790 11.391 1.160 P
-0.073 0.005 5.353 P
-0.073 5.767 5.353 P
4.351 11.538 2.737 P
4.351 5.776 2.737 P
2.488 0.152 6.931 P
2.488 5.619 6.931 P
-0.928 2.110 2.960 H
-0.928 3.662 2.960 H
-2.332 2.102 6.325 H
-2.332 3.669 6.325 H
-1.798 5.970 6.760 H
-1.798 11.344 6.760 H
0.602 5.878 3.018 H
0.602 11.436 3.018 H
1.297 2.097 4.007 H
1.297 3.674 4.007 H
-0.460 7.889 8.053 H
-0.460 9.426 8.053 H
4.738 2.117 0.037 H
4.738 3.654 0.037 H
2.981 7.869 4.083 H
2.981 9.446 4.083 H
3.676 0.107 5.073 H
3.676 5.665 5.073 H
6.075 0.199 1.330 H
6.075 5.573 1.330 H
6.610 7.874 1.765 H
6.610 9.441 1.765 H
5.206 7.881 5.130 H
5.206 9.434 5.130 H
-2.926 2.886 6.326 O
-0.971 2.886 2.366 O
-1.476 0.381 5.954 O
-1.476 5.391 5.954 O
-2.261 6.741 7.981 O
-2.261 10.574 7.981 O
0.919 6.564 2.309 O
0.919 10.751 2.309 O
0.162 0.859 4.113 O
0.162 4.912 4.113 O
1.615 1.349 1.085 O
1.615 4.422 1.085 O
0.111 7.249 5.124 O
0.111 10.066 5.124 O
1.898 2.886 3.886 O
0.143 8.657 7.967 O
0.938 0.483 6.526 O
0.938 5.289 6.526 O
3.340 6.254 1.564 O
3.340 11.060 1.564 O
4.135 2.886 0.123 O
2.379 8.657 4.204 O
4.166 1.478 2.967 O
4.166 4.294 2.967 O
2.662 7.121 7.006 O
2.662 10.194 7.006 O
4.115 6.631 3.977 O
4.115 10.684 3.977 O
3.358 0.792 5.781 O
3.358 4.980 5.781 O
6.539 0.969 0.109 O
6.539 4.803 0.109 O
5.754 6.152 2.137 O
5.754 11.162 2.137 O
5.249 8.657 5.724 O
7.203 8.657 1.764 O
```

Computed properties:
symmetry = P2_1/m, No. 11



A plane-wave DFT calculation with PBE+U was carried out for a geometry-optimized Ti5Fe11O24 structure.

```
Ti5Fe11O24
1.0
5.166 0.000 0.000
0.008 5.591 0.000
0.050 1.483 14.992
Ti Fe O
5 11 24
Cartesian
0.000 0.000 0.000 Ti
0.041 4.238 9.675 Ti
2.606 1.060 5.876 Ti
2.659 1.817 13.366 Ti
2.647 3.168 3.675 Ti
0.020 3.498 2.184 Fe
0.042 0.742 7.445 Fe
0.083 4.562 13.392 Fe
0.059 3.851 5.893 Fe
2.626 3.934 11.208 Fe
2.617 3.531 7.435 Fe
2.646 4.326 14.951 Fe
2.634 1.417 9.649 Fe
2.618 0.697 2.165 Fe
5.188 1.125 11.203 Fe
5.169 0.386 3.694 Fe
0.712 5.474 1.688 O
0.834 4.656 11.499 O
0.856 6.184 9.271 O
0.946 3.959 4.018 O
1.102 2.905 14.261 O
1.106 2.245 6.728 O
1.697 5.924 14.168 O
1.698 5.160 6.678 O
1.742 3.415 9.270 O
1.816 2.729 1.767 O
1.907 1.205 4.170 O
1.972 1.922 11.599 O
3.299 3.744 13.062 O
3.302 3.020 5.519 O
3.424 1.603 7.837 O
3.486 0.836 0.264 O
3.584 4.614 3.015 O
3.613 5.447 10.372 O
4.182 2.804 10.335 O
4.172 2.021 2.940 O
4.347 6.641 13.073 O
4.323 5.893 5.623 O
4.397 3.654 0.316 O
4.430 4.347 7.917 O
```

Computed properties:
polymorph energy (0 for the lowest one) = 2 meV per atom
symmetry = P1, No. 1



A plane-wave DFT calculation with PBE+U was carried out for a geometry-optimized Li2CrC2O6 structure.

```
Li2CrC2O6
1.0
5.504 0.000 0.000
2.749 5.450 0.000
2.731 -0.008 8.314
Li Cr C O
4 2 4 12
Cartesian
0.000 0.000 0.000 Li
4.116 2.721 6.611 Li
5.504 4.419 2.456 Li
6.878 1.693 4.156 Li
3.164 2.207 1.225 Cr
7.283 4.935 5.386 Cr
4.347 1.912 3.736 C
8.459 5.221 7.889 C
7.091 2.500 7.030 C
8.476 4.637 2.877 C
3.938 5.101 3.581 O
3.192 4.235 1.642 O
3.145 1.820 3.242 O
5.888 2.594 7.523 O
7.255 5.317 7.405 O
4.564 1.515 4.973 O
3.209 0.176 0.810 O
5.313 2.371 3.031 O
7.274 4.544 3.369 O
7.310 2.903 5.796 O
8.056 2.033 7.733 O
9.418 4.757 7.177 O
```

Computed properties:
polymorph energy (0 for the lowest one) = 0 meV per atom
symmetry = P1, No. 1
largest piezoelectric modulus = 0.5 C/m2



A plane-wave DFT calculation with PBE+U was carried out for a geometry-optimized Li2TiFeO4 structure.

```
Li2TiFeO4
1.0
5.849 -0.029 -0.021
0.064 7.307 5.149
-0.001 -3.377 4.806
Li Ti Fe O
8 4 4 16
Cartesian
1.457 -0.703 4.869 Li
4.383 0.972 2.455 Li
4.451 4.613 5.030 Li
1.525 2.939 7.444 Li
2.944 -1.488 2.587 Li
0.020 0.215 0.195 Li
5.872 2.143 5.162 Li
2.947 3.846 2.770 Li
0.133 5.456 7.658 Ti
3.058 7.131 5.245 Ti
5.823 3.456 2.673 Ti
2.898 1.782 5.086 Ti
4.382 -0.689 4.860 Fe
1.528 4.664 5.049 Fe
1.456 1.013 2.469 Fe
4.454 2.958 7.441 Fe
1.475 4.753 8.671 O
4.401 6.427 6.258 O
4.472 2.768 3.693 O
1.547 1.093 6.107 O
5.845 -0.162 3.406 O
2.920 -1.836 5.820 O
0.056 1.828 8.408 O
2.981 3.502 5.994 O
5.860 -1.368 6.150 O
2.936 0.335 3.758 O
5.898 3.969 6.323 O
2.973 2.294 8.737 O
1.553 6.450 6.309 O
4.478 4.747 8.701 O
1.465 2.792 3.741 O
4.390 1.088 6.133 O
```

Computed properties:
polymorph energy (0 for the lowest one) = 7 meV per atom



| no. | energy of formation (eV per atom) | magnetic moment (Bohr magnetons per cell) | volume (Å³/f.u.) |
| --- | --- | --- | --- |
| 1 | -1.98 | 6.00 | 380.1 |
| 2 | -2.30 | 50.00 | 433.0 |
| 3 | -2.08 | 8.00 | 124.7 |
| 4 | -2.56 | 0.00 | 76.8 |